1.
The following is a GGA+U calculation of crystalline CoW2O8 at its relaxed geometry, from Materials Project.

a = 5.0908 Å, b = 5.5345 Å, c = 5.8000 Å
α = 107.81°, β = 90.41°, γ = 116.99°
Closest atoms and distances in Å follow each position.
Element x y z (fractional)
Co 0.0000 0.0000 0.0000  6 O 1.91-2.12
W 0.2535 0.4913 0.6656  4 O 1.84-2.01
W 0.7465 0.5087 0.3344  4 O 1.84-2.01
O 0.0191 0.2461 0.8234  1 W 1.85, 1 Co 1.91
O 0.0276 0.7108 0.6762  2 W 2.01-2.09, 1 Co 2.12
O 0.4456 0.2274 0.0753  1 W 1.84, 1 Co 1.99
O 0.4560 0.2761 0.5390  2 W 1.90-2.12
O 0.5440 0.7239 0.4610  2 W 1.90-2.12
O 0.5544 0.7726 0.9247  1 W 1.84, 1 Co 1.99
O 0.9724 0.2892 0.3238  2 W 2.01-2.09, 1 Co 2.12
O 0.9809 0.7539 0.1766  1 W 1.85, 1 Co 1.91

=====

2.
The following is a GGA+U calculation of crystalline CoW2O7 at its relaxed geometry, from Materials Project.

a = 7.0696 Å, b = 16.1083 Å, c = 12.0145 Å
α = 90.00°, β = 102.06°, γ = 90.00°
Closest atoms and distances in Å follow each position.
Element x y z (fractional)
Co 0.0033 0.2449 0.2497  6 O 2.02-2.21
Co 0.0033 0.2551 0.7497  6 O 2.02-2.21
Co 0.3559 0.1699 0.9190  5 O 2.04-2.18
Co 0.3559 0.3301 0.4190  5 O 2.04-2.18
Co 0.6441 0.6699 0.5810  5 O 2.04-2.18
Co 0.6441 0.8301 0.0810  5 O 2.04-2.18
Co 0.9967 0.7449 0.2503  6 O 2.02-2.21
Co 0.9967 0.7551 0.7503  6 O 2.02-2.21
W 0.1207 0.6342 0.5207  4 O 1.78-1.88
W 0.1207 0.8658 0.0207  4 O 1.78-1.88
W 0.1534 0.1449 0.5228  4 O 1.75-1.94
W 0.1534 0.3551 0.0228  4 O 1.75-1.94
W 0.4206 0.0109 0.1805  2 O 1.74-1.79
W 0.4206 0.4891 0.6805  2 O 1.74-1.79
W 0.4763 0.2050 0.1927  3 O 1.76-1.93
W 0.4763 0.2950 0.6927  3 O 1.76-1.93
W 0.5237 0.7050 0.3073  3 O 1.76-1.93
W 0.5237 0.7950 0.8073  3 O 1.76-1.93
W 0.5794 0.5109 0.3195  2 O 1.74-1.79
W 0.5794 0.9891 0.8195  2 O 1.74-1.79
W 0.8466 0.6449 0.9772  4 O 1.75-1.94
W 0.8466 0.8551 0.4772  4 O 1.75-1.94
W 0.8793 0.1342 0.9793  4 O 1.78-1.88
W 0.8793 0.3658 0.4793  4 O 1.78-1.88
O 0.0049 0.1711 0.6231  1 W 1.81
O 0.0049 0.3289 0.1231  1 W 1.81
O 0.0064 0.6482 0.3743  1 W 1.79
O 0.0064 0.8518 0.8743  1 W 1.79
O 0.0278 0.1600 0.3762  1 W 1.81, 1 Co 2.02
O 0.0278 0.3400 0.8762  1 W 1.81, 1 Co 2.02
O 0.0495 0.1653 0.8898  1 W 1.84
O 0.0495 0.3347 0.3898  1 W 1.84
O 0.2177 0.5255 0.5447  2 W 1.88-2.02
O 0.2177 0.9745 0.0447  2 W 1.88-2.02
O 0.2385 0.0430 0.5439  1 W 1.75
O 0.2385 0.4570 0.0439  1 W 1.75
O 0.2923 0.7489 0.7799  1 W 1.76
O 0.2923 0.7511 0.2799  1 W 1.76
O 0.2931 0.5311 0.7757  1 W 1.74
O 0.2931 0.9689 0.2757  1 W 1.74
O 0.3225 0.2492 0.7819  1 W 1.83
O 0.3225 0.2508 0.2819  1 W 1.83
O 0.3344 0.6960 0.5490  1 W 1.78
O 0.3344 0.8040 0.0490  1 W 1.78
O 0.3583 0.2273 0.5550  2 W 1.94-2.01
O 0.3583 0.2727 0.0550  2 W 1.94-2.01
O 0.3959 0.0621 0.8355  1 W 1.79
O 0.3959 0.4379 0.3355  1 W 1.79
O 0.3991 0.1165 0.0760  2 W 1.99-2.10, 1 Co 2.04
O 0.3991 0.3835 0.5760  2 W 1.99-2.10, 1 Co 2.04
O 0.4588 0.6033 0.2238  2 W 1.93-1.96
O 0.4588 0.8967 0.7238  2 W 1.93-1.96
O 0.5412 0.1033 0.2762  2 W 1.93-1.96
O 0.5412 0.3967 0.7762  2 W 1.93-1.96
O 0.6009 0.6165 0.4240  2 W 1.99-2.10, 1 Co 2.04
O 0.6009 0.8835 0.9240  2 W 1.99-2.10, 1 Co 2.04
O 0.6041 0.5621 0.6645  1 W 1.79
O 0.6041 0.9379 0.1645  1 W 1.79
O 0.6417 0.7273 0.9450  2 W 1.94-2.01
O 0.6417 0.7727 0.4450  2 W 1.94-2.01
O 0.6656 0.1960 0.9510  1 W 1.78
O 0.6656 0.3040 0.4510  1 W 1.78
O 0.6775 0.7492 0.7181  1 W 1.83
O 0.6775 0.7508 0.2181  1 W 1.83
O 0.7069 0.0311 0.7243  1 W 1.74
O 0.7069 0.4689 0.2243  1 W 1.74
O 0.7077 0.2489 0.7201  1 W 1.76
O 0.7077 0.2511 0.2201  1 W 1.76
O 0.7615 0.5430 0.9561  1 W 1.75
O 0.7615 0.9570 0.4561  1 W 1.75
O 0.7823 0.0255 0.9553  2 W 1.88-2.02
O 0.7823 0.4745 0.4553  2 W 1.88-2.02
O 0.9505 0.6653 0.6102  1 W 1.84
O 0.9505 0.8347 0.1102  1 W 1.84
O 0.9722 0.6600 0.1238  1 W 1.81, 1 Co 2.02
O 0.9722 0.8400 0.6238  1 W 1.81, 1 Co 2.02
O 0.9936 0.1482 0.1257  1 W 1.79
O 0.9936 0.3518 0.6257  1 W 1.79
O 0.9951 0.6711 0.8769  1 W 1.81
O 0.9951 0.8289 0.3769  1 W 1.81

=====

3.
The following is a GGA+U calculation of crystalline YCo2O4 at its relaxed geometry, from Materials Project.

a = 6.2241 Å, b = 6.2241 Å, c = 6.2241 Å
α = 120.67°, β = 116.68°, γ = 92.34°
Closest atoms and distances in Å follow each position.
Element x y z (fractional)
Y 0.0000 0.0000 0.0000  6 O 2.24-2.27
Y 0.5000 0.0000 0.5000  6 O 2.24-2.27
Co 0.0000 0.0000 0.5000  6 O 2.13-2.20
Co 0.0000 0.5000 0.0000  6 O 2.13-2.20
Co 0.3780 0.6280 0.7500  4 O 1.91-1.94
Co 0.6220 0.3720 0.2500  4 O 1.91-1.94
O 0.2273 0.7367 0.4906  1 Co 1.94
O 0.2475 0.2463 0.4988  2 Co 1.91-2.13
O 0.2475 0.7487 0.0012  2 Co 1.91-2.13
O 0.2540 0.2633 0.9906  1 Co 1.94
O 0.7460 0.7367 0.0094  1 Co 1.94
O 0.7525 0.2513 0.9988  2 Co 1.91-2.13
O 0.7525 0.7537 0.5012  2 Co 1.91-2.13
O 0.7727 0.2633 0.5094  1 Co 1.94

=====

4.
The following is a GGA+U calculation of crystalline Y2Co2O7 at its relaxed geometry, from Materials Project.

a = 7.0109 Å, b = 7.0109 Å, c = 7.0109 Å
α = 60.00°, β = 60.00°, γ = 60.00°
Closest atoms and distances in Å follow each position.
Element x y z (fractional)
Y 0.0000 0.0000 0.0000  2 O 2.15
Y 0.0000 0.0000 0.5000  2 O 2.15
Y 0.0000 0.5000 0.0000  2 O 2.15
Y 0.5000 0.0000 0.0000  2 O 2.15
Co 0.0000 0.5000 0.5000  6 O 1.91
Co 0.5000 0.0000 0.5000  6 O 1.91
Co 0.5000 0.5000 0.0000  6 O 1.91
Co 0.5000 0.5000 0.5000  6 O 1.91
O 0.1250 0.1250 0.1250  4 Y 2.15
O 0.1722 0.1722 0.5778  2 Co 1.91
O 0.1722 0.5778 0.1722  2 Co 1.91
O 0.1722 0.5778 0.5778  2 Co 1.91
O 0.4222 0.4222 0.8278  2 Co 1.91
O 0.4222 0.8278 0.4222  2 Co 1.91
O 0.4222 0.8278 0.8278  2 Co 1.91
O 0.5778 0.1722 0.1722  2 Co 1.91
O 0.5778 0.1722 0.5778  2 Co 1.91
O 0.5778 0.5778 0.1722  2 Co 1.91
O 0.8278 0.4222 0.4222  2 Co 1.91
O 0.8278 0.4222 0.8278  2 Co 1.91
O 0.8278 0.8278 0.4222  2 Co 1.91
O 0.8750 0.8750 0.8750  4 Y 2.15

=====

5.
The following is a GGA+U calculation of crystalline YCo2O4 at its relaxed geometry, from Materials Project.

a = 6.1490 Å, b = 6.1490 Å, c = 6.1490 Å
α = 59.67°, β = 59.67°, γ = 59.67°
Closest atoms and distances in Å follow each position.
Element x y z (fractional)
Y 0.1209 0.1209 0.1209  4 O 2.13-2.18
Y 0.8791 0.8791 0.8791  4 O 2.13-2.18
Co 0.0000 0.5000 0.5000  6 O 1.98-2.04
Co 0.5000 0.0000 0.5000  6 O 1.98-2.04
Co 0.5000 0.5000 0.0000  6 O 1.98-2.04
Co 0.5000 0.5000 0.5000  6 O 2.12
O 0.2580 0.2580 0.6954  3 Co 1.98-2.12, 1 Y 2.13
O 0.2580 0.6954 0.2580  3 Co 1.98-2.12, 1 Y 2.13
O 0.2655 0.2655 0.2655  3 Co 2.04, 1 Y 2.18
O 0.3046 0.7420 0.7420  3 Co 1.98-2.12, 1 Y 2.13
O 0.6954 0.2580 0.2580  3 Co 1.98-2.12, 1 Y 2.13
O 0.7345 0.7345 0.7345  3 Co 2.04, 1 Y 2.18
O 0.7420 0.3046 0.7420  3 Co 1.98-2.12, 1 Y 2.13
O 0.7420 0.7420 0.3046  3 Co 1.98-2.12, 1 Y 2.13

=====

6.
The following is a GGA+U calculation of crystalline YCo2O4 at its relaxed geometry, from Materials Project.

a = 6.2730 Å, b = 6.2730 Å, c = 6.2730 Å
α = 126.78°, β = 126.78°, γ = 78.61°
Closest atoms and distances in Å follow each position.
Element x y z (fractional)
Y 0.3750 0.1250 0.2500  8 O 2.36-2.42
Y 0.6250 0.8750 0.7500  8 O 2.36-2.42
Co 0.0000 0.0000 0.5000  4 O 1.85-1.92
Co 0.0000 0.5000 0.0000  4 O 1.85-1.92
Co 0.0000 0.5000 0.5000  4 O 1.85-1.92
Co 0.5000 0.5000 0.0000  4 O 1.85-1.92
O 0.0263 0.1397 0.3130  2 Co 1.85-1.92
O 0.2133 0.5263 0.3866  2 Co 1.85-1.92
O 0.3267 0.7133 0.1870  2 Co 1.85-1.92
O 0.3603 0.1733 0.8866  2 Co 1.85-1.92
O 0.6397 0.8267 0.1134  2 Co 1.85-1.92
O 0.6733 0.2867 0.8130  2 Co 1.85-1.92
O 0.7867 0.4737 0.6134  2 Co 1.85-1.92
O 0.9737 0.8603 0.6870  2 Co 1.85-1.92

=====

7.
The following is a GGA+U calculation of crystalline ZnCo4O9 at its relaxed geometry, from Materials Project.

a = 4.9042 Å, b = 8.1900 Å, c = 8.2155 Å
α = 89.94°, β = 89.93°, γ = 89.80°
Closest atoms and distances in Å follow each position.
Element x y z (fractional)
Zn 0.0000 0.0000 0.0000  4 O 2.09-2.13
Zn 0.2106 0.5013 0.5015  4 O 2.09-2.12
Co 0.4918 0.2861 0.0914  1 O 1.67
Co 0.4927 0.9144 0.2857  1 O 1.67
Co 0.4942 0.7177 0.9139  1 O 1.67
Co 0.4955 0.0904 0.7190  1 O 1.67
Co 0.7200 0.4140 0.7862  1 O 1.67
Co 0.7211 0.2182 0.4140  1 O 1.67
Co 0.7214 0.5902 0.2192  1 O 1.67
Co 0.7208 0.7867 0.5906  1 O 1.67
O 0.0453 0.7283 0.5689  1 Co 1.67
O 0.0459 0.2752 0.4359  1 Co 1.67
O 0.0469 0.4343 0.7312  1 Co 1.67
O 0.0491 0.5707 0.2734  1 Co 1.67
O 0.1662 0.9350 0.2302  1 Co 1.67
O 0.1674 0.2282 0.0691  1 Co 1.67
O 0.1688 0.0702 0.7742  1 Co 1.67
O 0.1690 0.7751 0.9357  1 Co 1.67
O 0.5432 0.6086 0.7116  3 Co 1.90-1.97
O 0.5448 0.3980 0.2966  3 Co 1.91-1.96
O 0.5591 0.2947 0.6077  3 Co 1.88-1.93
O 0.5598 0.7112 0.3978  3 Co 1.88-1.94
O 0.6007 0.0027 0.5016  4 Co 1.99-2.00
O 0.6112 0.5023 0.0024  4 Co 1.99-2.00
O 0.6545 0.7954 0.1068  3 Co 1.88-1.94
O 0.6622 0.2090 0.8974  3 Co 1.91-1.94
O 0.6674 0.1089 0.2120  3 Co 1.91-1.95
O 0.6712 0.8952 0.7937  3 Co 1.91-1.96

=====

8.
The following is a GGA+U calculation of crystalline Zn2Co3O8 at its relaxed geometry, from Materials Project.

a = 5.8104 Å, b = 5.8104 Å, c = 4.8227 Å
α = 107.27°, β = 107.27°, γ = 58.36°
Closest atoms and distances in Å follow each position.
Element x y z (fractional)
Zn 0.2184 0.2184 0.1569  6 O 2.04-2.24
Zn 0.7816 0.7816 0.8431  6 O 2.04-2.24
Co 0.2437 0.7563 0.5000  6 O 1.83-1.92
Co 0.5000 0.5000 0.0000  6 O 1.87-1.92
Co 0.7563 0.2437 0.5000  6 O 1.83-1.92
O 0.1035 0.1035 0.4320  2 Co 1.83, 1 Zn 2.04
O 0.1637 0.6138 0.1000  2 Co 1.87-1.88, 1 Zn 2.06
O 0.3862 0.8363 0.9000  2 Co 1.87-1.88, 1 Zn 2.06
O 0.3962 0.3962 0.5853  3 Co 1.92
O 0.6038 0.6038 0.4147  3 Co 1.92
O 0.6138 0.1637 0.1000  2 Co 1.87-1.88, 1 Zn 2.06
O 0.8363 0.3862 0.9000  2 Co 1.87-1.88, 1 Zn 2.06
O 0.8965 0.8965 0.5680  2 Co 1.83, 1 Zn 2.04

=====

Number 1: energy relative to the elements -1.696 eV per atom. Number 2: energy relative to the elements -1.858 eV per atom. Number 3: energy relative to the elements -2.072 eV per atom. Number 4: energy relative to the elements -2.355 eV per atom. Number 5: energy relative to the elements -1.995 eV per atom. Number 6: energy relative to the elements -2.150 eV per atom. Number 7: energy relative to the elements -0.912 eV per atom. Number 8: energy relative to the elements -1.285 eV per atom.